Ba4CaRh4O12 (PBE, optimized geometry); E above lowest polymorph = 79.0 meV per atom; symmetry = P3m1 (156)
1.0
-1.081 3.866 4.215
-4.217 -3.577 -1.820
2.883 -7.079 7.232
Rh O Ba Ca
4 12 4 1
Cartesian
-1.018 -1.335 4.983 Rh
-1.805 0.598 3.008 Rh
-0.625 -7.349 6.580 Rh
-1.423 -5.390 4.579 Rh
-0.711 -5.251 2.659 O
0.183 -6.623 8.281 O
0.361 -5.787 5.400 O
-0.317 -4.833 10.232 O
-2.015 -5.657 6.474 O
-1.243 -3.351 4.731 O
-3.315 -5.109 3.836 O
-0.928 0.684 4.939 O
-1.530 -7.391 4.584 O
2.135 -4.967 9.123 O
-0.448 -1.033 3.067 O
-2.801 -0.904 4.130 O
-2.358 -3.094 2.234 Ba
1.403 -3.445 3.519 Ba
-0.020 -3.786 7.487 Ba
0.291 -0.715 0.730 Ba
2.392 -5.873 6.000 Ca

---

Ba12SrCa3Ru8O36 (PBE, optimized geometry); symmetry = P-3m1 (164)
1.0
2.994 -5.185 0.000
2.994 5.185 0.000
0.000 0.000 30.205
O Ru Ba Ca Sr
36 8 12 3 1
Cartesian
1.580 0.912 6.234 O
1.580 0.912 16.475 O
2.994 3.361 16.475 O
2.994 -3.348 28.708 O
4.407 0.912 16.475 O
4.357 2.515 3.863 O
1.642 2.509 18.867 O
4.405 -0.914 8.946 O
4.396 -0.919 28.708 O
2.994 3.348 1.497 O
1.580 -0.912 23.971 O
4.396 0.919 1.497 O
4.357 -2.515 26.342 O
4.407 0.912 6.234 O
2.994 -3.358 8.946 O
2.994 3.358 21.259 O
1.583 -0.914 8.946 O
2.994 -3.361 23.971 O
4.407 -0.912 13.730 O
1.592 -0.919 28.708 O
4.346 -2.509 11.338 O
4.346 2.509 18.867 O
1.583 0.914 21.259 O
1.631 -2.515 26.342 O
1.580 -0.912 13.730 O
2.994 3.361 6.234 O
1.631 2.515 3.863 O
2.994 -0.167 11.338 O
1.642 -2.509 11.338 O
2.994 -3.361 13.730 O
2.994 0.154 3.863 O
1.592 0.919 1.497 O
4.407 -0.912 23.971 O
2.994 -0.154 26.342 O
2.994 0.167 18.867 O
4.405 0.914 21.259 O
2.994 1.728 2.473 Ru
2.994 1.728 20.258 Ru
2.994 -1.728 24.964 Ru
2.994 -1.728 12.729 Ru
2.994 1.728 17.475 Ru
2.994 -1.728 27.732 Ru
2.994 -1.728 9.946 Ru
2.994 1.728 5.240 Ru
0.000 0.000 11.338 Ba
2.994 -1.728 16.613 Ba
0.000 0.000 26.348 Ba
2.994 1.728 9.076 Ba
2.994 1.728 28.499 Ba
2.994 1.728 13.592 Ba
2.994 -1.728 6.092 Ba
2.994 -1.728 21.128 Ba
2.994 1.728 24.113 Ba
0.000 0.000 18.866 Ba
0.000 0.000 3.857 Ba
2.994 -1.728 1.706 Ba
0.000 0.000 15.102 Ca
0.000 0.000 7.590 Ca
0.000 0.000 22.614 Ca
0.000 0.000 0.000 Sr

---

BaCaSb4O8 (PBE, optimized geometry); symmetry = P-31m (162)
1.0
3.128 -5.418 0.000
3.128 5.418 0.000
0.000 0.000 7.372
O Sb Ca Ba
8 4 1 1
Cartesian
2.190 3.794 5.305 O
1.876 0.000 5.305 O
4.380 0.000 2.067 O
2.190 -3.794 5.305 O
0.938 1.625 2.067 O
3.128 -1.806 0.000 O
0.938 -1.625 2.067 O
3.128 1.806 0.000 O
3.128 1.806 2.006 Sb
3.128 -1.806 5.367 Sb
3.128 1.806 5.367 Sb
3.128 -1.806 2.006 Sb
0.000 0.000 3.686 Ca
0.000 0.000 0.000 Ba

---

E_form in eV/atom, matching the order above: -1.96 -2.46 -2.01
Magnetization in μB/atom, matching the order above: 0.09 0.40 0.00